Entry 1:
{"formula": "CrGe2O6", "functional": "GGA+U", "state": "relaxed", "lattice_angstrom": [[-0.0789, 7.9253, 4.1960], [-4.0143, -1.7282, 3.1886], [4.6206, -4.1932, 8.0069]], "species": ["O", "O", "O", "Cr", "O", "O", "O", "O", "Cr", "O", "Ge", "O", "O", "Ge", "Ge", "Cr", "Ge", "O", "O", "O", "O", "O", "O", "Ge", "O", "O", "Ge", "O", "Ge", "O", "O", "Cr", "Ge", "O", "O", "O"], "frac_coords": [[0.2974, 0.3926, 0.3378], [0.4645, 0.6830, 0.4062], [0.6762, 0.8920, 0.8712], [0.8410, 0.7779, 0.7630], [0.1997, 0.4286, 0.8836], [0.8238, 0.3920, 0.8712], [0.0355, 0.1830, 0.4062], [0.2209, 0.5620, 0.5925], [0.3410, 0.7221, 0.2370], [0.5355, 0.3170, 0.5938], [0.3354, 0.1954, 0.9464], [0.2026, 0.8926, 0.3378], [0.9645, 0.8170, 0.5938], [0.1646, 0.6954, 0.9464], [0.6520, 0.6195, 0.4760], [0.1590, 0.2221, 0.2370], [0.8480, 0.1195, 0.4760], [0.2791, 0.0620, 0.5925], [0.7791, 0.4380, 0.4075], [0.3003, 0.9286, 0.8836], [0.7974, 0.1074, 0.6622], [0.6997, 0.0714, 0.1164], [0.9886, 0.8068, 0.8809], [0.3480, 0.3805, 0.5240], [0.7026, 0.6074, 0.6622], [0.7209, 0.9380, 0.4075], [0.1520, 0.8805, 0.5240], [0.4886, 0.6932, 0.1191], [0.8354, 0.3046, 0.0536], [0.1762, 0.6080, 0.1288], [0.5114, 0.3068, 0.8809], [0.6590, 0.2779, 0.7630], [0.6646, 0.8046, 0.0536], [0.3238, 0.1080, 0.1288], [0.0114, 0.1932, 0.1191], [0.8003, 0.5714, 0.1164]], "delta_e_f_ev_per_atom": -1.9576, "polymorph_energy_ev_per_fu": 0.13, "mass_density_g_cm3": 4.10, "spacegroup": "P2_1/c, No. 14"}


Entry 2:
{"formula": "LiVBO3", "functional": "GGA+U", "state": "relaxed", "lattice_angstrom": [[0.0000, -0.0003, 6.3644], [8.2086, 0.0016, 0.0000], [-4.1029, 7.1064, 3.1819]], "species": ["O", "B", "O", "B", "B", "V", "O", "O", "O", "O", "O", "O", "B", "Li", "V", "Li", "Li", "V", "O", "Li", "O", "V", "O", "V", "O", "O", "Li", "O", "B", "O", "Li", "O", "O", "B", "V", "O"], "frac_coords": [[0.3194, 0.4405, 0.8611], [0.4167, 0.3333, 0.6666], [0.4602, 0.1390, 0.5794], [0.5000, 0.9999, 0.9999], [0.9999, 0.0001, 0.0001], [0.8143, 0.3932, 0.3714], [0.6316, 0.4707, 0.2366], [0.4703, 0.4207, 0.5595], [0.5493, 0.8039, 0.9015], [0.9703, 0.4207, 0.5595], [0.9853, 0.7660, 0.5294], [0.8194, 0.4405, 0.8611], [0.5833, 0.6667, 0.3334], [0.8820, 0.7056, 0.7360], [0.1966, 0.9783, 0.6068], [0.1028, 0.0304, 0.2944], [0.2652, 0.2640, 0.9696], [0.3144, 0.3930, 0.3713], [0.1318, 0.4707, 0.2366], [0.6028, 0.0304, 0.2944], [0.0492, 0.8040, 0.9016], [0.9891, 0.6285, 0.0218], [0.4020, 0.0974, 0.1960], [0.4891, 0.6284, 0.0218], [0.4853, 0.7660, 0.5294], [0.6330, 0.7634, 0.2340], [0.7652, 0.2640, 0.9696], [0.0487, 0.0986, 0.9026], [0.9167, 0.3333, 0.6666], [0.9019, 0.0975, 0.1962], [0.3821, 0.7056, 0.7360], [0.5488, 0.0984, 0.9024], [0.1330, 0.7634, 0.2340], [0.0833, 0.6667, 0.3334], [0.6967, 0.9783, 0.6066], [0.9604, 0.1390, 0.5794]], "delta_e_f_ev_per_atom": -2.4878, "polymorph_energy_ev_per_fu": 0.00, "mass_density_g_cm3": 3.13}


Entry 3:
{"formula": "Nd2FeNiO6", "functional": "GGA+U", "state": "relaxed", "lattice_angstrom": [[5.6578, 0.0000, 0.0000], [0.0000, 5.4406, 0.0000], [0.0000, 5.4207, 7.7628]], "species": ["O", "O", "O", "Nd", "Fe", "O", "O", "O", "Ni", "O", "Ni", "Nd", "O", "Nd", "O", "Nd", "O", "O", "Fe", "O"], "frac_coords": [[0.8010, 0.1631, 0.0444], [0.7937, 0.7458, 0.4546], [0.3010, 0.8369, 0.4556], [0.4409, 0.7637, 0.7495], [0.0000, 0.5000, 0.0000], [0.0217, 0.6625, 0.7522], [0.9783, 0.3375, 0.2478], [0.6990, 0.1631, 0.5444], [0.0000, 0.0000, 0.5000], [0.4783, 0.6625, 0.2522], [0.5000, 0.0000, 0.0000], [0.9409, 0.2363, 0.7505], [0.2063, 0.2542, 0.5454], [0.5591, 0.2363, 0.2505], [0.5217, 0.3375, 0.7478], [0.0591, 0.7637, 0.2495], [0.1990, 0.8369, 0.9556], [0.7063, 0.7458, 0.9546], [0.5000, 0.5000, 0.5000], [0.2937, 0.2542, 0.0454]], "delta_e_f_ev_per_atom": -2.6136, "mass_density_g_cm3": 6.94, "spacegroup": "P2_1/c, No. 14"}


Entry 4:
{"formula": "LiMn5O3F5", "functional": "GGA+U", "state": "relaxed", "lattice_angstrom": [[-6.1192, 1.7730, 0.7156], [-4.7167, -3.5515, -2.4981], [-3.8631, -3.3513, 3.8666]], "species": ["O", "Mn", "F", "O", "Mn", "Mn", "Mn", "F", "Li", "F", "F", "F", "Mn", "O"], "frac_coords": [[0.6109, 0.6109, 0.1522], [0.0225, 0.0225, 0.0089], [0.1287, 0.6094, 0.6184], [0.6018, 0.6018, 0.6151], [0.8639, 0.3874, 0.3605], [0.3874, 0.8639, 0.3605], [0.7159, 0.7159, 0.7748], [0.1382, 0.6191, 0.1354], [0.3933, 0.3933, 0.3508], [0.6191, 0.1382, 0.1354], [0.6094, 0.1287, 0.6184], [0.1323, 0.1323, 0.6124], [0.3762, 0.3762, 0.8695], [0.1503, 0.1503, 0.1377]], "delta_e_f_ev_per_atom": -2.4859, "polymorph_energy_ev_per_fu": 0.06, "mass_density_g_cm3": 3.79, "spacegroup": "Cm, No. 8"}


| no. | total moment (μB per formula unit) |
| --- | --- |
| 1 | 2.00 |
| 2 | 0.00 |
| 3 | 6.00 |
| 4 | 25.00 |